Entry from Materials Project: crystalline Li3NiPCO7 at its relaxed geometry (PBE+U).

Unit cell a=9.4173 b=6.3036 c=9.6935 alpha=90.00 beta=114.73 gamma=90.00
Fractional positions:
Li1 0.1087 0.2428 0.4440
Li2 0.1087 0.2572 0.9440
Li3 0.2819 0.5013 0.2631
Li4 0.2819 0.9987 0.7631
Li5 0.3571 0.7500 0.0662
Li6 0.3571 0.7500 0.5662
Li7 0.6429 0.2500 0.4338
Li8 0.6429 0.2500 0.9338
Li9 0.7181 0.0013 0.2369
Li10 0.7181 0.4987 0.7369
Li11 0.8913 0.7428 0.0560
Li12 0.8913 0.7572 0.5560
Ni1 0.2675 0.0051 0.2607
Ni2 0.2675 0.4949 0.7607
Ni3 0.7325 0.5051 0.2393
Ni4 0.7325 0.9949 0.7393
P1 0.4073 0.2389 0.5654
P2 0.4073 0.2611 0.0654
P3 0.5927 0.7389 0.9346
P4 0.5927 0.7611 0.4346
C1 0.0403 0.7446 0.3692
C2 0.0403 0.7554 0.8692
C3 0.9597 0.2446 0.1308
C4 0.9597 0.2554 0.6308
O1 0.0649 0.7327 0.5081
O2 0.0649 0.7673 0.0081
O3 0.1037 0.2341 0.2389
O4 0.1037 0.2659 0.7389
O5 0.1540 0.7341 0.8280
O6 0.1540 0.7659 0.3280
O7 0.3071 0.0527 0.5760
O8 0.3071 0.4473 0.0760
O9 0.3174 0.0589 0.0759
O10 0.3174 0.4411 0.5759
O11 0.4135 0.2348 0.4066
O12 0.4135 0.2652 0.9066
O13 0.4233 0.7402 0.8105
O14 0.4233 0.7598 0.3105
O15 0.5767 0.2402 0.6895
O16 0.5767 0.2598 0.1895
O17 0.5865 0.7348 0.0934
O18 0.5865 0.7652 0.5934
O19 0.6826 0.5589 0.4241
O20 0.6826 0.9411 0.9241
O21 0.6929 0.5527 0.9240
O22 0.6929 0.9473 0.4240
O23 0.8460 0.2341 0.6720
O24 0.8460 0.2659 0.1720
O25 0.8963 0.7341 0.2611
O26 0.8963 0.7659 0.7611
O27 0.9351 0.2327 0.9919
O28 0.9351 0.2673 0.4919

total energy	-6.36	eV/atom
space-group type	No. 14
size of the total moment	2.000	μB per formula unit
formation energy	-2827	kJ/mol of formula units